(1)
This record from the Materials Project database describes LiY2Fe4O8 after structural relaxation. The functional is PBE+U.

abc: 6.6106 6.1258 6.6089
angles: 62.56 57.31 62.44
Closest atoms and distances in Å follow each position.
Atoms (fractional coordinates):
Li 0.8591 0.4127 0.8629  4 O 1.90-1.97
Y 0.5976 0.6520 0.5967  4 O 2.14-2.16
Y 0.3766 0.3568 0.3788  4 O 2.15-2.20
Fe 0.0404 0.4826 0.0395  5 O 2.07-2.22
Fe 0.0298 0.9620 0.0301  5 O 1.96-2.08
Fe 0.5123 0.9949 0.9901  5 O 2.07-2.28
Fe 0.9893 0.9955 0.5124  5 O 2.07-2.28
O 0.1946 0.7818 0.7671  2 Fe 2.01-2.08, 1 Y 2.15
O 0.2180 0.2413 0.7899  1 Li 1.97, 2 Fe 2.08-2.20, 1 Y 2.20
O 0.2291 0.7638 0.2289  1 Fe 1.96, 1 Y 2.16
O 0.2450 0.2097 0.2461  3 Fe 2.07-2.09, 1 Y 2.15
O 0.7680 0.7814 0.1939  2 Fe 2.01-2.08, 1 Y 2.15
O 0.7879 0.2408 0.2204  1 Li 1.97, 1 Fe 2.08, 1 Y 2.19
O 0.7550 0.2559 0.7565  1 Li 1.91, 1 Y 2.14
O 0.7412 0.7752 0.7409  1 Li 1.90, 2 Fe 2.07

Computed properties:
Its distance to the lowest polymorph of the same formula is 0 meV/atom. As for the formation energy: -2229 meV/atom. The value obtained for the total energy is -107.2 eV/cell.

---

(2)
This record from the Materials Project database describes KSrVO4 after structural relaxation. The functional is PBE+U.

abc: 5.9634 7.5485 10.1185
angles: 90.00 90.00 90.00
Closest atoms and distances in Å follow each position.
Atoms (fractional coordinates):
K 0.2500 0.1575 0.9240  1 O 2.57
K 0.7500 0.8425 0.0760  1 O 2.57
K 0.2500 0.6575 0.5760  1 O 2.57
K 0.7500 0.3425 0.4240  1 O 2.57
Sr 0.2500 0.0034 0.2983  7 O 2.58-2.76
Sr 0.7500 0.9966 0.7017  7 O 2.58-2.76
Sr 0.2500 0.5034 0.2017  7 O 2.58-2.76
Sr 0.7500 0.4966 0.7983  7 O 2.58-2.76
V 0.2500 0.7221 0.9158  4 O 1.72-1.75
V 0.7500 0.2779 0.0842  4 O 1.72-1.75
V 0.2500 0.2221 0.5842  4 O 1.72-1.75
V 0.7500 0.7779 0.4158  4 O 1.72-1.75
O 0.5083 0.2198 0.1728  1 V 1.75
O 0.0083 0.7802 0.8272  1 V 1.75
O 0.9917 0.7198 0.3272  1 V 1.75
O 0.4917 0.2802 0.6728  1 V 1.75
O 0.4917 0.7802 0.8272  1 V 1.75
O 0.9917 0.2198 0.1728  1 V 1.75
O 0.0083 0.2802 0.6728  1 V 1.75
O 0.5083 0.7198 0.3272  1 V 1.75
O 0.2500 0.8242 0.0713  1 V 1.75
O 0.7500 0.1758 0.9287  1 V 1.75
O 0.2500 0.3242 0.4287  1 V 1.75
O 0.7500 0.6758 0.5713  1 V 1.75
O 0.7500 0.5026 0.0562  1 V 1.72
O 0.2500 0.4974 0.9438  1 V 1.72
O 0.7500 0.0026 0.4438  1 V 1.72
O 0.2500 0.9974 0.5562  1 V 1.72

Computed properties:
Its distance to the lowest polymorph of the same formula is 3 meV/atom. As for the formation energy: -2788 meV/atom. The value obtained for the total energy is -187.0 eV/cell.

---

(3)
This record from the Materials Project database describes Ca3MnS2O17 after structural relaxation. The functional is PBE+U.

abc: 8.6088 8.6257 10.6485
angles: 90.00 90.00 119.94
Closest atoms and distances in Å follow each position.
Atoms (fractional coordinates):
Ca 0.3084 0.1506 0.2500  6 O 2.30-2.47
Ca 0.8413 0.6913 0.2500  6 O 2.30-2.48
Ca 0.8509 0.1594 0.2500  6 O 2.30-2.49
Ca 0.1578 0.8494 0.7500  6 O 2.30-2.47
Ca 0.1500 0.3087 0.7500  6 O 2.30-2.48
Ca 0.6915 0.8406 0.7500  6 O 2.30-2.49
Mn 0.0003 0.0000 0.0000  6 O 1.83-1.85
Mn 0.0003 0.0000 0.5000  6 O 1.83-1.85
S 0.6668 0.3334 0.0228  4 O 1.48-1.49
S 0.6668 0.3334 0.4772  4 O 1.48-1.49
S 0.3334 0.6666 0.5228  4 O 1.48-1.49
S 0.3334 0.6666 0.9772  4 O 1.48-1.49
O 0.6667 0.3334 0.8839  1 S 1.48
O 0.6667 0.3334 0.6161  1 S 1.48
O 0.3333 0.6666 0.3839  1 S 1.48
O 0.3333 0.6666 0.1161  1 S 1.48
O 0.5008 0.9850 0.2500  2 Ca 2.61-2.67, 4 O 2.78-2.82
O 0.4844 0.4994 0.2500  2 Ca 2.61-2.66, 4 O 2.77-2.82
O 0.0150 0.5159 0.2500  2 Ca 2.60-2.67, 4 O 2.77-2.81
O 0.5158 0.0150 0.7500  2 Ca 2.61-2.67, 4 O 2.78-2.82
O 0.9851 0.5006 0.7500  2 Ca 2.61-2.66, 4 O 2.77-2.82
O 0.4991 0.4841 0.7500  2 Ca 2.60-2.67, 4 O 2.77-2.81
O 0.0926 0.1842 0.1162  1 Mn 1.85
O 0.0906 0.9075 0.1149  1 Mn 1.83
O 0.8167 0.9086 0.1149  1 Mn 1.84
O 0.0926 0.1842 0.3838  1 Mn 1.85
O 0.0906 0.9075 0.3851  1 Mn 1.83
O 0.8167 0.9086 0.3851  1 Mn 1.84
O 0.9084 0.8158 0.6162  1 Mn 1.85
O 0.1831 0.0925 0.6149  1 Mn 1.83
O 0.9081 0.0914 0.6149  1 Mn 1.84
O 0.9084 0.8158 0.8838  1 Mn 1.85
O 0.1831 0.0925 0.8851  1 Mn 1.83
O 0.9081 0.0914 0.8851  1 Mn 1.84
O 0.4798 0.2563 0.0712  1 S 1.49
O 0.7762 0.5199 0.0713  1 S 1.49
O 0.7438 0.2237 0.0712  1 S 1.49
O 0.4798 0.2563 0.4288  1 S 1.49
O 0.7762 0.5199 0.4287  1 S 1.49
O 0.7438 0.2237 0.4288  1 S 1.49
O 0.2235 0.7437 0.5712  1 S 1.49
O 0.2563 0.4801 0.5713  1 S 1.49
O 0.5202 0.7763 0.5712  1 S 1.49
O 0.2235 0.7437 0.9288  1 S 1.49
O 0.2563 0.4801 0.9287  1 S 1.49
O 0.5202 0.7763 0.9288  1 S 1.49

Computed properties:
Its distance to the lowest polymorph of the same formula is 20 meV/atom. As for the formation energy: -1417 meV/atom. The value obtained for the total energy is -253.6 eV/cell.

---

Q: What is the formula in the third record?
A: Ca3MnS2O17